The following is a meta-GGA r2SCAN calculation of an optimized crystal structure of NbCoAs, from the Materials Project database.

Cell lengths 3.725, 6.303, 7.125 Å; angles 90.00, 90.00, 90.00 degrees
Fractional positions:
Co: 0.250 0.151 0.936
Co: 0.750 0.349 0.436
Co: 0.250 0.651 0.564
Co: 0.750 0.849 0.064
As: 0.750 0.218 0.121
As: 0.250 0.282 0.621
As: 0.250 0.782 0.879
As: 0.750 0.718 0.379
Nb: 0.750 0.977 0.670
Nb: 0.250 0.023 0.330
Nb: 0.250 0.523 0.170
Nb: 0.750 0.477 0.830

---

The following is a meta-GGA r2SCAN calculation of an optimized crystal structure of Pb, from the Materials Project database.

Energy above the lowest structure with this stoichiometry: 42 meV per atom

Cell lengths 3.429, 3.429, 3.429 Å; angles 109.47, 109.47, 109.47 degrees
Fractional positions:
Pb: 0.000 0.000 0.000

---

The following is a meta-GGA r2SCAN calculation of an optimized crystal structure of Na2Ta4O11, from the Materials Project database.

Cell lengths 12.750, 12.750, 12.750 Å; angles 28.23, 28.23, 28.23 degrees
Fractional positions:
O: 0.223 0.438 0.747
O: 0.906 0.906 0.906
O: 0.094 0.094 0.094
O: 0.938 0.723 0.247
O: 0.747 0.223 0.438
O: 0.247 0.938 0.723
O: 0.723 0.247 0.938
O: 0.562 0.253 0.777
O: 0.277 0.753 0.062
O: 0.062 0.277 0.753
O: 0.498 0.002 0.250
O: 0.777 0.562 0.253
O: 0.406 0.406 0.406
O: 0.253 0.777 0.562
O: 0.502 0.998 0.750
O: 0.002 0.250 0.498
O: 0.750 0.502 0.998
O: 0.438 0.747 0.223
O: 0.998 0.750 0.502
O: 0.753 0.062 0.277
O: 0.250 0.498 0.002
O: 0.594 0.594 0.594
Na: 0.665 0.665 0.665
Na: 0.335 0.335 0.335
Na: 0.835 0.835 0.835
Na: 0.165 0.165 0.165
Ta: 0.613 0.250 0.887
Ta: 0.113 0.387 0.750
Ta: 0.887 0.613 0.250
Ta: 0.500 0.500 0.500
Ta: 0.000 0.000 0.000
Ta: 0.387 0.750 0.113
Ta: 0.250 0.887 0.613
Ta: 0.750 0.113 0.387

---

The following is a meta-GGA r2SCAN calculation of an optimized crystal structure of ErSnGe, from the Materials Project database.

Cell lengths 8.446, 8.446, 4.032 Å; angles 90.00, 90.00, 151.24 degrees
Fractional positions:
Er: 0.095 0.905 0.250
Er: 0.905 0.095 0.750
Ge: 0.448 0.552 0.250
Ge: 0.552 0.448 0.750
Sn: 0.744 0.256 0.250
Sn: 0.256 0.744 0.750

---

The following is a meta-GGA r2SCAN calculation of an optimized crystal structure of Nd14Au51, from the Materials Project database.

Cell lengths 9.329, 12.899, 12.899 Å; angles 60.00, 90.00, 90.00 degrees
Fractional positions:
Au: 0.664 0.560 0.102
Au: 0.235 0.197 0.074
Au: 0.500 0.820 0.240
Au: 0.770 0.266 0.807
Au: 0.765 0.074 0.728
Au: 0.662 0.657 0.445
Au: 0.849 0.116 0.502
Au: 0.765 0.197 0.074
Au: 0.848 0.624 0.884
Au: 0.000 0.667 0.667
Au: 0.336 0.338 0.560
Au: 0.664 0.338 0.560
Au: 0.662 0.898 0.657
Au: 0.770 0.807 0.927
Au: 0.000 0.138 0.971
Au: 0.338 0.898 0.657
Au: 0.848 0.884 0.492
Au: 0.152 0.624 0.884
Au: 0.152 0.884 0.492
Au: 0.697 0.667 0.667
Au: 0.303 0.667 0.667
Au: 0.151 0.116 0.502
Au: 0.849 0.502 0.382
Au: 0.230 0.927 0.266
Au: 0.765 0.728 0.197
Au: 0.235 0.074 0.728
Au: 0.500 0.176 0.765
Au: 0.230 0.807 0.927
Au: 0.000 0.891 0.138
Au: 0.697 0.333 0.333
Au: 0.230 0.266 0.807
Au: 0.500 0.940 0.820
Au: 0.336 0.102 0.338
Au: 0.336 0.560 0.102
Au: 0.151 0.382 0.116
Au: 0.500 0.059 0.176
Au: 0.000 0.333 0.333
Au: 0.000 0.971 0.891
Au: 0.235 0.728 0.197
Au: 0.770 0.927 0.266
Au: 0.662 0.445 0.898
Au: 0.664 0.102 0.338
Au: 0.338 0.657 0.445
Au: 0.848 0.492 0.624
Au: 0.849 0.382 0.116
Au: 0.500 0.240 0.940
Au: 0.303 0.333 0.333
Au: 0.500 0.765 0.058
Au: 0.152 0.492 0.624
Au: 0.338 0.445 0.898
Au: 0.151 0.502 0.382
Nd: 0.500 0.465 0.678
Nd: 0.000 0.884 0.715
Nd: 0.000 0.113 0.269
Nd: 0.000 0.269 0.618
Nd: 0.000 0.715 0.400
Nd: 0.299 0.000 0.000
Nd: 0.500 0.856 0.465
Nd: 0.000 0.400 0.884
Nd: 0.000 0.618 0.113
Nd: 0.500 0.324 0.145
Nd: 0.701 0.000 0.000
Nd: 0.500 0.532 0.324
Nd: 0.500 0.678 0.856
Nd: 0.500 0.145 0.532

---

The following is a meta-GGA r2SCAN calculation of an optimized crystal structure of Mg2GeSe4, from the Materials Project database.

Cell lengths 6.338, 7.854, 13.500 Å; angles 90.00, 90.00, 90.00 degrees
Fractional positions:
Mg: 0.500 0.500 0.500
Mg: 0.500 0.000 0.500
Mg: 0.997 0.750 0.731
Mg: 0.000 0.000 0.000
Mg: 0.003 0.250 0.269
Mg: 0.503 0.750 0.231
Mg: 0.497 0.250 0.769
Mg: 0.000 0.500 0.000
Ge: 0.910 0.250 0.589
Ge: 0.410 0.750 0.911
Ge: 0.590 0.250 0.089
Ge: 0.090 0.750 0.411
Se: 0.255 0.516 0.332
Se: 0.248 0.750 0.571
Se: 0.278 0.250 0.593
Se: 0.222 0.250 0.093
Se: 0.752 0.250 0.429
Se: 0.255 0.984 0.332
Se: 0.748 0.250 0.929
Se: 0.722 0.750 0.407
Se: 0.245 0.984 0.832
Se: 0.252 0.750 0.071
Se: 0.778 0.750 0.907
Se: 0.745 0.484 0.668
Se: 0.755 0.484 0.168
Se: 0.245 0.516 0.832
Se: 0.755 0.016 0.168
Se: 0.745 0.016 0.668

---

The following is a meta-GGA r2SCAN calculation of an optimized crystal structure of YbInPt, from the Materials Project database.

Cell lengths 7.572, 7.572, 3.782 Å; angles 90.00, 90.00, 120.00 degrees
Fractional positions:
Pt: 0.000 0.000 0.000
Pt: 0.333 0.667 0.500
Pt: 0.667 0.333 0.500
Yb: 0.000 0.405 0.000
Yb: 0.405 0.000 0.000
Yb: 0.595 0.595 0.000
In: 0.737 0.000 0.500
In: 0.263 0.263 0.500
In: 0.000 0.737 0.500

---

The following is a meta-GGA r2SCAN calculation of an optimized crystal structure of HoHg3, from the Materials Project database.

Cell lengths 6.585, 6.585, 4.938 Å; angles 90.00, 90.00, 120.00 degrees
Fractional positions:
Hg: 0.834 0.667 0.750
Hg: 0.667 0.834 0.250
Hg: 0.166 0.333 0.250
Hg: 0.333 0.166 0.750
Hg: 0.834 0.166 0.750
Hg: 0.166 0.834 0.250
Ho: 0.667 0.333 0.250
Ho: 0.333 0.667 0.750

---

The following is a meta-GGA r2SCAN calculation of an optimized crystal structure of Eu2Si, from the Materials Project database.

Cell lengths 4.964, 7.606, 9.367 Å; angles 90.00, 90.00, 90.00 degrees
Fractional positions:
Eu: 0.250 0.657 0.422
Eu: 0.250 0.522 0.818
Eu: 0.250 0.022 0.682
Eu: 0.750 0.978 0.318
Eu: 0.750 0.478 0.182
Eu: 0.750 0.843 0.923
Eu: 0.750 0.343 0.578
Eu: 0.250 0.157 0.077
Si: 0.750 0.252 0.895
Si: 0.750 0.752 0.605
Si: 0.250 0.248 0.395
Si: 0.250 0.748 0.105

---

The following is a meta-GGA r2SCAN calculation of an optimized crystal structure of Tb5Ge10Rh4, from the Materials Project database.

Cell lengths 12.997, 12.997, 4.294 Å; angles 90.00, 90.00, 90.00 degrees
Fractional positions:
Rh: 0.245 0.979 0.000
Rh: 0.755 0.021 0.000
Rh: 0.521 0.255 0.000
Rh: 0.021 0.245 0.000
Rh: 0.479 0.745 0.000
Rh: 0.745 0.521 0.000
Rh: 0.979 0.755 0.000
Rh: 0.255 0.479 0.000
Ge: 0.662 0.701 0.000
Ge: 0.498 0.659 0.500
Ge: 0.799 0.838 0.000
Ge: 0.841 0.002 0.500
Ge: 0.341 0.498 0.500
Ge: 0.067 0.433 0.000
Ge: 0.502 0.341 0.500
Ge: 0.701 0.338 0.000
Ge: 0.162 0.799 0.000
Ge: 0.933 0.567 0.000
Ge: 0.159 0.998 0.500
Ge: 0.433 0.933 0.000
Ge: 0.338 0.299 0.000
Ge: 0.002 0.159 0.500
Ge: 0.567 0.067 0.000
Ge: 0.299 0.662 0.000
Ge: 0.998 0.841 0.500
Ge: 0.838 0.201 0.000
Ge: 0.659 0.502 0.500
Ge: 0.201 0.162 0.000
Tb: 0.500 0.500 0.000
Tb: 0.175 0.325 0.500
Tb: 0.887 0.387 0.500
Tb: 0.613 0.887 0.500
Tb: 0.825 0.675 0.500
Tb: 0.387 0.113 0.500
Tb: 0.675 0.175 0.500
Tb: 0.113 0.613 0.500
Tb: 0.325 0.825 0.500
Tb: 0.000 0.000 0.000

---

The following is a meta-GGA r2SCAN calculation of an optimized crystal structure of ZnRh3, from the Materials Project database.

Cell lengths 4.643, 4.643, 4.643 Å; angles 131.74, 131.74, 70.64 degrees
Fractional positions:
Zn: 0.000 0.000 0.000
Rh: 0.750 0.250 0.500
Rh: 0.250 0.750 0.500
Rh: 0.500 0.500 0.000

---

The following is a meta-GGA r2SCAN calculation of an optimized crystal structure of NaFeN, from the Materials Project database.

Cell lengths 2.979, 2.979, 9.678 Å; angles 90.00, 90.00, 120.00 degrees
Fractional positions:
Na: 0.667 0.333 0.761
Na: 0.333 0.667 0.261
Fe: 0.000 0.000 0.018
Fe: 0.000 0.000 0.518
N: 0.333 0.667 0.566
N: 0.667 0.333 0.066

---

For each record above, in turn, the calculated total moment values are 0.0003; 0.0000; 0.0000; 0.0000; 0.0000; 0.0000; 0.0000; 0.0000; 4.6667; 0.0000; 0.0000; 0.0000 μB/atom.
For each record above, in turn, the calculated DFT formation energy values are -0.476; 0.042; -2.998; -0.643; -0.703; -0.991; -1.142; -0.391; -0.531; -0.877; -0.197; -0.019 eV/atom.